# 1
## ThGaIr (PBE)

Data for a relaxed ThGaIr crystal.

```
ThGaIr
1.0
7.254 0.000 0.000
-3.627 6.283 0.000
0.000 0.000 4.109
Th Ga Ir
3 3 3
direct
0.000 0.585 0.000
0.415 0.415 0.000
0.585 0.000 0.000
0.000 0.234 0.500
0.234 0.000 0.500
0.766 0.766 0.500
0.000 0.000 0.000
0.333 0.667 0.500
0.667 0.333 0.500
```

Properties
Its uncorrected energy is -7.356 eV/atom. Its formation energy is -0.9294 eV/atom. For the theoretical density, the calculation gives 13.14 g cm⁻³.


# 2
## Tm2Ga9Ir3 (PBE)

Data for a relaxed Tm2Ga9Ir3 crystal.

```
Tm2Ga9Ir3
1.0
6.566 -3.784 0.000
6.566 3.784 0.000
0.000 0.000 9.454
Tm Ga Ir
4 18 6
direct
0.003 0.668 0.750
0.332 0.997 0.750
0.668 0.003 0.250
0.997 0.332 0.250
0.002 0.334 0.581
0.002 0.334 0.919
0.127 0.873 0.250
0.333 0.667 0.566
0.333 0.667 0.934
0.334 0.002 0.081
0.334 0.002 0.419
0.339 0.454 0.250
0.454 0.339 0.750
0.546 0.661 0.250
0.661 0.546 0.750
0.666 0.998 0.581
0.666 0.998 0.919
0.667 0.333 0.066
0.667 0.333 0.434
0.873 0.127 0.750
0.998 0.666 0.081
0.998 0.666 0.419
0.000 0.000 0.000
0.000 0.000 0.500
0.328 0.328 0.000
0.328 0.328 0.500
0.672 0.672 0.000
0.672 0.672 0.500
```

Properties
Its uncorrected energy is -5.130 eV/atom. Its formation energy is -0.6503 eV/atom. For the theoretical density, the calculation gives 10.90 g cm⁻³.